# 1
# LiCuP4O12 (GGA-PBE, optimized geometry)
data_LiCuP4O12
_chemical_formula_sum 'Li4 Cu4 P16 O48'
_symmetry_space_group_name_H-M 'C 1 c 1'
_symmetry_Int_Tables_number 9
_cell_length_a 9.896
_cell_length_b 12.097
_cell_length_c 8.337
_cell_angle_alpha 90.00
_cell_angle_beta 99.58
_cell_angle_gamma 90.00
loop_
_symmetry_equiv_pos_as_xyz
'x,y,z'
'x,-y,z+1/2'
'x+1/2,y+1/2,z'
'x+1/2,-y+1/2,z+1/2'
loop_
_atom_site_label
_atom_site_type_symbol
_atom_site_fract_x
_atom_site_fract_y
_atom_site_fract_z
_atom_site_occupancy
Li1 Li 0.000 0.188 0.000 1
Cu1 Cu 0.181 0.351 0.298 1
P1 P 0.010 0.188 0.473 1
P2 P 0.042 0.425 0.860 1
P3 P 0.299 0.419 0.731 1
P4 P 0.317 0.171 0.124 1
O1 O 0.011 0.359 0.000 1
O2 O 0.075 0.452 0.394 1
O3 O 0.077 0.228 0.329 1
O4 O 0.089 0.153 0.630 1
O5 O 0.168 0.366 0.792 1
O6 O 0.183 0.125 0.048 1
O7 O 0.269 0.459 0.194 1
O8 O 0.323 0.258 0.261 1
O9 O 0.337 0.356 0.591 1
O10 O 0.394 0.219 0.985 1
O11 O 0.416 0.414 0.889 1
O12 O 0.420 0.075 0.206 1
# - E (MP2020): -7.165 eV/atom

=====

# 2
# LiCu2PO4 (GGA-PBE, optimized geometry)
data_LiCu2PO4
_chemical_formula_sum 'Li4 Cu8 P4 O16'
_symmetry_space_group_name_H-M 'P n m a'
_symmetry_Int_Tables_number 62
_cell_length_a 10.897
_cell_length_b 6.237
_cell_length_c 5.263
_cell_angle_alpha 90.00
_cell_angle_beta 90.00
_cell_angle_gamma 90.00
loop_
_symmetry_equiv_pos_as_xyz
'x,y,z'
'-x,-y,-z'
'-x+1/2,-y,z+1/2'
'x+1/2,y,-z+1/2'
'x+1/2,-y+1/2,-z+1/2'
'-x+1/2,y+1/2,z+1/2'
'-x,y+1/2,-z'
'x,-y+1/2,z'
loop_
_atom_site_label
_atom_site_type_symbol
_atom_site_fract_x
_atom_site_fract_y
_atom_site_fract_z
_atom_site_occupancy
Li1 Li 0.083 0.250 0.202 1
Cu1 Cu 0.175 0.529 0.803 1
P1 P 0.079 0.750 0.305 1
O1 O 0.051 0.250 0.815 1
O2 O 0.068 0.750 0.603 1
O3 O 0.149 0.545 0.218 1
# - E (MP2020): -6.253 eV/atom

=====

# 3
# LiCu5P2O8 (GGA-PBE, optimized geometry)
data_LiCu5P2O8
_chemical_formula_sum 'Li1 Cu5 P2 O8'
_symmetry_space_group_name_H-M 'P 1'
_symmetry_Int_Tables_number 1
_cell_length_a 5.152
_cell_length_b 5.552
_cell_length_c 6.283
_cell_angle_alpha 87.95
_cell_angle_beta 89.41
_cell_angle_gamma 88.99
loop_
_symmetry_equiv_pos_as_xyz
'x,y,z'
loop_
_atom_site_label
_atom_site_type_symbol
_atom_site_fract_x
_atom_site_fract_y
_atom_site_fract_z
_atom_site_occupancy
Li1 Li 0.000 0.000 0.000 1
Cu1 Cu 0.029 0.580 0.746 1
Cu2 Cu 0.030 0.969 0.511 1
Cu3 Cu 0.473 0.676 0.000 1
Cu4 Cu 0.485 0.071 0.257 1
Cu5 Cu 0.494 0.684 0.509 1
P1 P 0.502 0.157 0.757 1
P2 P 0.976 0.478 0.244 1
O1 O 0.073 0.636 0.046 1
O2 O 0.086 0.217 0.234 1
O3 O 0.090 0.604 0.441 1
O4 O 0.201 0.143 0.760 1
O5 O 0.597 0.420 0.754 1
O6 O 0.618 0.027 0.558 1
O7 O 0.620 0.019 0.958 1
O8 O 0.675 0.482 0.252 1
# - E (MP2020): -6.180 eV/atom

=====

| no. | relative energy among the computed polymorphs (eV/f.u.) |
| --- | --- |
| 1 | 0.24 |
| 2 | 0.15 |
| 3 | 0.16 |